Entry from the Materials Project database: crystalline MgFe6Sb10I6O18 at its relaxed geometry (PBE with a Hubbard U).

Geometry as CIF:
```
data_MgFe6Sb10I6O18
_space_group_name_H-M_alt 'P 1'
_space_group_IT_number 1
_cell_length_a 8.310
_cell_length_b 9.256
_cell_length_c 12.743
_cell_angle_alpha 79.89
_cell_angle_beta 82.37
_cell_angle_gamma 71.78
loop_
_space_group_symop_operation_xyz
'x,y,z'
loop_
_atom_site_label
_atom_site_fract_x
_atom_site_fract_y
_atom_site_fract_z
Mg1 0.000 0.000 0.000
Fe1 0.044 0.926 0.792
Fe2 0.156 0.800 0.182
Fe3 0.384 0.999 0.271
Fe4 0.449 0.904 0.540
Fe5 0.677 0.963 0.054
Fe6 0.780 0.900 0.305
Sb1 0.213 0.702 0.446
Sb2 0.289 0.127 0.916
Sb3 0.496 0.741 0.941
Sb4 0.553 0.223 0.399
Sb5 0.563 0.653 0.207
Sb6 0.636 0.092 0.686
Sb7 0.832 0.721 0.675
Sb8 0.931 0.629 0.957
Sb9 0.959 0.186 0.180
Sb10 0.996 0.066 0.445
I1 0.018 0.565 0.252
I2 0.240 0.213 0.591
I3 0.240 0.622 0.761
I4 0.491 0.244 0.123
I5 0.615 0.592 0.496
I6 0.853 0.264 0.852
O1 0.130 0.102 0.291
O2 0.162 0.088 0.061
O3 0.205 0.958 0.884
O4 0.236 0.890 0.491
O5 0.321 0.768 0.298
O6 0.380 0.728 0.098
O7 0.508 0.956 0.941
O8 0.539 0.012 0.389
O9 0.598 0.888 0.658
O10 0.607 0.852 0.214
O11 0.687 0.149 0.529
O12 0.695 0.665 0.042
O13 0.778 0.684 0.836
O14 0.798 0.150 0.327
O15 0.876 0.934 0.691
O16 0.919 0.848 0.953
O17 0.934 0.972 0.166
O18 0.975 0.863 0.409
```

Calculated values
Spin magnetization ... 0.54 μB/atom
Energy relative to the lowest polymorph listed for this composition ... 45 meV per atom
E_form ... -1.35 eV per atom
Electronic total energy ... -221.5 eV per formula unit